1.
PBE Mg3In2N4, optimized geometry; calculated total energy = -90.55 eV per cell; V = 13.2 Å³ per atom; density = 5.00 g/cm3; formation enthalpy at 0 K = -0.34 eV/atom
1.0
-0.0570 5.6462 -3.2420
-3.5780 -2.5799 7.6892
4.7625 1.3746 2.6774
In Mg N
4 6 8
Direct
0.3453 0.5519 0.8530 In
0.3453 0.7933 0.3530 In
0.6547 0.2067 0.6470 In
0.6547 0.4481 0.1470 In
0.0000 0.7080 0.7500 Mg
0.7626 0.9831 0.8983 Mg
0.2374 0.2205 0.6017 Mg
0.7626 0.7795 0.3983 Mg
0.0000 0.2920 0.2500 Mg
0.2374 0.0169 0.1017 Mg
0.3224 0.5489 0.4667 N
0.8016 0.0512 0.5127 N
0.1984 0.9488 0.4873 N
0.8016 0.7504 0.0127 N
0.3224 0.7735 0.9667 N
0.6776 0.4511 0.5333 N
0.1984 0.2496 0.9873 N
0.6776 0.2265 0.0333 N

=====

2.
PBE Mg2InN2, optimized geometry; calculated total energy = -23.16 eV per cell; V = 14.1 Å³ per atom; density = 4.50 g/cm3; formation enthalpy at 0 K = -0.25 eV/atom
1.0
-1.8357 2.2694 -2.0810
1.0391 -3.1796 -1.2935
-5.4404 -2.5865 1.9876
In Mg N
1 2 2
Direct
0.0000 0.0000 0.5000 In
0.3334 0.6667 0.8523 Mg
0.6666 0.3333 0.1477 Mg
0.3335 0.6667 0.2105 N
0.6666 0.3333 0.7895 N

=====

3.
PBE Na4MgInP3O12, optimized geometry; calculated total energy = -796.06 eV per cell; V = 12.6 Å³ per atom; density = 3.23 g/cm3; formation enthalpy at 0 K = -2.65 eV/atom
1.0
9.1325 0.0000 0.0000
-4.5663 7.9090 0.0000
0.0000 0.0000 22.0630
Na P O In Mg
24 18 72 6 6
Direct
0.0000 0.0000 0.9968 Na
0.3701 0.0067 0.7484 Na
0.0368 0.6968 0.5817 Na
0.6600 0.9632 0.5817 Na
0.6366 0.0067 0.2484 Na
0.9699 0.6734 0.9151 Na
0.9933 0.3634 0.7484 Na
0.0368 0.3400 0.0817 Na
0.3266 0.0301 0.4151 Na
0.6366 0.6299 0.7484 Na
0.3701 0.3634 0.2484 Na
0.3266 0.2965 0.9151 Na
0.3333 0.6667 0.6635 Na
0.3333 0.6667 0.1635 Na
0.3032 0.3400 0.5817 Na
0.3032 0.9632 0.0817 Na
0.9933 0.6299 0.2484 Na
0.7035 0.0301 0.9151 Na
0.6600 0.6968 0.0817 Na
0.6667 0.3333 0.8301 Na
0.9699 0.2965 0.4151 Na
0.6667 0.3333 0.3301 Na
0.7035 0.6734 0.4151 Na
0.0000 0.0000 0.4968 Na
0.9681 0.6343 0.0849 P
0.3329 0.3653 0.4182 P
0.3014 0.3009 0.7515 P
0.3014 0.0005 0.2515 P
0.3657 0.0319 0.5849 P
0.6347 0.6671 0.9182 P
0.0324 0.6671 0.4182 P
0.3657 0.3338 0.0849 P
0.6347 0.9676 0.4182 P
0.6991 0.0005 0.7515 P
0.0324 0.3653 0.9182 P
0.9681 0.3338 0.5849 P
0.9995 0.3009 0.2515 P
0.6662 0.6343 0.5849 P
0.3329 0.9676 0.9182 P
0.6662 0.0319 0.0849 P
0.6991 0.6986 0.2515 P
0.9995 0.6986 0.7515 P
0.9884 0.8147 0.0882 O
0.1597 0.4814 0.2548 O
0.4930 0.1480 0.9215 O
0.8618 0.5615 0.0258 O
0.9884 0.1737 0.5882 O
0.5442 0.6889 0.9731 O
0.8520 0.5070 0.4215 O
0.1719 0.9839 0.9130 O
0.5285 0.8949 0.3591 O
0.6997 0.1382 0.0258 O
0.1453 0.6505 0.0797 O
0.2109 0.1887 0.8064 O
0.0161 0.1880 0.9130 O
0.3664 0.8949 0.8591 O
0.8520 0.3450 0.9215 O
0.9778 0.7891 0.8064 O
0.3217 0.8403 0.2548 O
0.5052 0.8547 0.0797 O
0.5186 0.6783 0.2548 O
0.6444 0.1224 0.1398 O
0.7718 0.8048 0.1924 O
0.3495 0.8547 0.5797 O
0.1952 0.2282 0.6924 O
0.5052 0.6505 0.5797 O
0.4787 0.3172 0.7464 O
0.8263 0.0116 0.0882 O
0.8120 0.9839 0.4130 O
0.4930 0.3450 0.4215 O
0.3111 0.8553 0.9731 O
0.1719 0.1880 0.4130 O
0.8386 0.3172 0.2464 O
0.4385 0.1382 0.5258 O
0.1853 0.1737 0.0882 O
0.1051 0.4715 0.8591 O
0.8776 0.3556 0.6398 O
0.3217 0.4814 0.7548 O
0.8113 0.7891 0.3064 O
0.6550 0.5070 0.9215 O
0.1853 0.0116 0.5882 O
0.8263 0.8147 0.5882 O
0.6444 0.5220 0.6398 O
0.8120 0.8281 0.9130 O
0.0330 0.2282 0.1924 O
0.0161 0.8281 0.4130 O
0.8618 0.3003 0.5258 O
0.0330 0.8048 0.6924 O
0.8386 0.5213 0.7464 O
0.5186 0.8403 0.7548 O
0.4780 0.3556 0.1398 O
0.5285 0.6336 0.8591 O
0.1597 0.6783 0.7548 O
0.4787 0.1614 0.2464 O
0.3111 0.4558 0.4731 O
0.7718 0.9670 0.6924 O
0.6550 0.1480 0.4215 O
0.3495 0.4948 0.0797 O
0.3664 0.4715 0.3591 O
0.6828 0.1614 0.7464 O
0.8776 0.5220 0.1398 O
0.8113 0.0222 0.8064 O
0.4780 0.1224 0.6398 O
0.6828 0.5213 0.2464 O
0.1447 0.6889 0.4731 O
0.4385 0.3003 0.0258 O
0.1051 0.6336 0.3591 O
0.2109 0.0222 0.3064 O
0.6997 0.5615 0.5258 O
0.9778 0.1887 0.3064 O
0.1447 0.4558 0.9731 O
0.1453 0.4948 0.5797 O
0.1952 0.9670 0.1924 O
0.5442 0.8553 0.4731 O
0.3333 0.6667 0.8212 In
0.6667 0.3333 0.9879 In
0.0000 0.0000 0.6545 In
0.6667 0.3333 0.4879 In
0.0000 0.0000 0.1545 In
0.3333 0.6667 0.3212 In
0.3333 0.6667 0.0153 Mg
0.3333 0.6667 0.5153 Mg
0.6667 0.3333 0.6820 Mg
0.0000 0.0000 0.8486 Mg
0.0000 0.0000 0.3486 Mg
0.6667 0.3333 0.1820 Mg

=====

4.
PBE Na5Mg2In2P3S3O24, optimized geometry; calculated total energy = -720.96 eV per cell; V = 13.5 Å³ per atom; density = 3.05 g/cm3; formation enthalpy at 0 K = -2.41 eV/atom
1.0
9.0255 0.0054 -0.0182
-4.5081 7.7320 -0.0452
-0.0469 -0.1615 22.5961
O In P Mg Na S
72 6 9 6 15 9
Direct
0.1993 0.2299 0.6905 O
0.3570 0.4719 0.3642 O
0.1452 0.6717 0.7562 O
0.6873 0.5459 0.5285 O
0.6606 0.1550 0.4204 O
0.3739 0.8901 0.8655 O
0.1583 0.4839 0.2566 O
0.1736 0.1972 0.4123 O
0.1051 0.6352 0.3611 O
0.8197 0.0139 0.0889 O
0.5422 0.8617 0.4730 O
0.4852 0.3316 0.7455 O
0.2028 0.0184 0.3027 O
0.8779 0.5311 0.1424 O
0.5081 0.8606 0.0780 O
0.3118 0.4822 0.7559 O
0.9932 0.8217 0.0875 O
0.8795 0.3531 0.6400 O
0.7997 0.8307 0.9133 O
0.9904 0.1724 0.5869 O
0.5041 0.6507 0.5796 O
0.0124 0.1901 0.9126 O
0.8634 0.5102 0.4211 O
0.1462 0.6859 0.4682 O
0.6907 0.1334 0.0282 O
0.1944 0.9620 0.1914 O
0.9723 0.1875 0.3074 O
0.8148 0.0219 0.8072 O
0.4852 0.3468 0.4223 O
0.6941 0.1686 0.7458 O
0.1505 0.4972 0.5780 O
0.6409 0.5197 0.6403 O
0.1747 0.9847 0.9134 O
0.3575 0.4939 0.0771 O
0.8574 0.2985 0.5276 O
0.6441 0.1226 0.1354 O
0.5052 0.1505 0.9243 O
0.1969 0.1790 0.0878 O
0.8392 0.5305 0.7452 O
0.5358 0.6860 0.9670 O
0.8363 0.3171 0.2459 O
0.6548 0.5162 0.9210 O
0.3221 0.8380 0.2546 O
0.7737 0.9621 0.6951 O
0.4810 0.1215 0.6357 O
0.0293 0.8041 0.6959 O
0.4388 0.1414 0.5298 O
0.8182 0.9890 0.4144 O
0.1470 0.6529 0.0813 O
0.5207 0.8353 0.7554 O
0.4420 0.2996 0.0299 O
0.2061 0.1842 0.8017 O
0.8597 0.3448 0.9210 O
0.8263 0.8152 0.5883 O
0.8589 0.5507 0.0297 O
0.5313 0.6845 0.2564 O
0.3181 0.8640 0.9771 O
0.3555 0.8641 0.5766 O
0.4774 0.3563 0.1366 O
0.0235 0.2157 0.1957 O
0.1459 0.4603 0.9670 O
0.3121 0.4544 0.4713 O
0.0216 0.8254 0.4119 O
0.5358 0.8895 0.3593 O
0.8152 0.7898 0.3028 O
0.5336 0.6391 0.8598 O
0.1068 0.4613 0.8599 O
0.1966 0.0169 0.5903 O
0.7750 0.8097 0.1968 O
0.6898 0.5316 0.2438 O
0.4824 0.1616 0.2447 O
0.9787 0.7925 0.8025 O
0.9963 0.0005 0.6529 In
0.6691 0.3336 0.4857 In
0.6693 0.3429 0.9857 In
0.3354 0.6702 0.3192 In
0.3358 0.6748 0.8193 In
0.0043 0.0024 0.1526 In
0.9701 0.3387 0.5848 P
0.9659 0.6320 0.0866 P
0.9979 0.2969 0.2525 P
0.7022 0.0013 0.7529 P
0.3017 0.2995 0.7505 P
0.3333 0.9674 0.9216 P
0.6368 0.9665 0.4186 P
0.6655 0.6291 0.5854 P
0.3006 0.0037 0.2505 P
0.0048 0.0042 0.3490 Mg
0.3375 0.6701 0.5169 Mg
0.6645 0.3295 0.6836 Mg
0.3181 0.6636 0.0177 Mg
0.6692 0.3360 0.1837 Mg
0.0219 0.0110 0.8508 Mg
0.6712 0.9666 0.5790 Na
0.9618 0.2906 0.4144 Na
0.3135 0.6372 0.1629 Na
0.0084 0.9867 0.9964 Na
0.6370 0.0123 0.2540 Na
0.9972 0.3529 0.7458 Na
0.0037 0.6340 0.2430 Na
0.6390 0.3171 0.3312 Na
0.6905 0.0267 0.9109 Na
0.6303 0.6325 0.7441 Na
0.3283 0.6706 0.6635 Na
0.6326 0.3096 0.8299 Na
0.9803 0.9706 0.4961 Na
0.2959 0.9580 0.0807 Na
0.3032 0.3447 0.5866 Na
0.7047 0.7033 0.2511 S
0.0375 0.6700 0.4172 S
0.6308 0.6688 0.9171 S
0.3323 0.3681 0.4182 S
0.6663 0.0330 0.0834 S
0.3689 0.0351 0.5840 S
0.9979 0.7036 0.7510 S
0.3723 0.3379 0.0843 S
0.0364 0.3669 0.9164 S

=====

5.
PBE NaMgIn3S6O24, optimized geometry; calculated total energy = -628.69 eV per cell; V = 14.9 Å³ per atom; density = 3.08 g/cm3; formation enthalpy at 0 K = -2.04 eV/atom
1.0
-6.3522 -5.5565 -2.5223
8.4376 -2.5038 -0.3535
-1.5082 -8.1551 21.7631
O S Mg In Na
72 18 3 9 3
Direct
0.4807 0.1158 0.6355 O
0.8243 0.8040 0.5904 O
0.5315 0.8454 0.7575 O
0.5146 0.8846 0.3647 O
0.6921 0.1533 0.0317 O
0.5127 0.8645 0.0756 O
0.1120 0.4768 0.8647 O
0.4933 0.3515 0.4205 O
0.5232 0.6351 0.8647 O
0.8530 0.3018 0.5316 O
0.1154 0.6300 0.3647 O
0.1534 0.4678 0.2572 O
0.3139 0.4685 0.7575 O
0.8031 0.9802 0.4064 O
0.6450 0.1148 0.1363 O
0.9751 0.8055 0.0853 O
0.1960 0.0203 0.5904 O
0.1546 0.6861 0.7575 O
0.9751 0.7950 0.8018 O
0.0211 0.8034 0.6974 O
0.6485 0.1418 0.4205 O
0.1752 0.9837 0.9093 O
0.2050 0.1801 0.8018 O
0.3070 0.4463 0.4684 O
0.0198 0.8229 0.4064 O
0.4916 0.1419 0.9239 O
0.6921 0.1634 0.7485 O
0.9797 0.1757 0.5904 O
0.3018 0.8566 0.9686 O
0.8199 0.0249 0.8018 O
0.1355 0.6481 0.0756 O
0.8581 0.3496 0.9239 O
0.8842 0.3649 0.6355 O
0.3700 0.4854 0.3647 O
0.0163 0.1915 0.9093 O
0.8582 0.5067 0.4205 O
0.1969 0.9793 0.1970 O
0.1375 0.4915 0.5763 O
0.6982 0.5512 0.5316 O
0.1434 0.4452 0.9686 O
0.5537 0.8607 0.4684 O
0.4488 0.1470 0.5316 O
0.2050 0.0255 0.3016 O
0.3539 0.8625 0.5763 O
0.8366 0.5287 0.7485 O
0.3649 0.8880 0.8647 O
0.9745 0.1795 0.3016 O
0.8304 0.0249 0.0853 O
0.1771 0.1969 0.4064 O
0.7823 0.9789 0.6974 O
0.6351 0.5193 0.6355 O
0.0207 0.2176 0.1970 O
0.4721 0.1640 0.2481 O
0.8852 0.5302 0.1363 O
0.3519 0.4873 0.0756 O
0.8360 0.3081 0.2481 O
0.8205 0.7950 0.3016 O
0.6504 0.5084 0.9239 O
0.5548 0.6982 0.9686 O
0.7824 0.8031 0.1970 O
0.1966 0.2177 0.6974 O
0.6919 0.5279 0.2481 O
0.5085 0.6461 0.5763 O
0.1945 0.1696 0.0853 O
0.4713 0.3079 0.7485 O
0.8085 0.8248 0.9093 O
0.3145 0.8466 0.2572 O
0.4698 0.3550 0.1363 O
0.4612 0.3079 0.0317 O
0.5322 0.6855 0.2572 O
0.1393 0.6930 0.4684 O
0.8467 0.5388 0.0317 O
0.6344 0.6667 0.9166 S
0.6320 0.9641 0.4152 S
0.7090 0.0019 0.7522 S
0.6665 0.6296 0.5835 S
0.2930 0.0029 0.2520 S
0.0359 0.6679 0.4152 S
0.2929 0.2910 0.7522 S
0.3333 0.9677 0.9166 S
0.9581 0.6271 0.0813 S
0.9971 0.2901 0.2520 S
0.9981 0.7071 0.7522 S
0.3704 0.0370 0.5835 S
0.6690 0.0419 0.0813 S
0.9630 0.3335 0.5835 S
0.3729 0.3310 0.0813 S
0.7099 0.7070 0.2520 S
0.3321 0.3680 0.4152 S
0.0323 0.3656 0.9166 S
0.0000 0.0000 0.3540 Mg
0.0000 0.0000 0.8515 Mg
0.6667 0.3333 0.9820 Mg
0.3333 0.6667 0.3139 In
0.3333 0.6667 0.8159 In
0.6667 0.3333 0.6853 In
0.3333 0.6667 0.0174 In
0.6667 0.3333 0.1836 In
0.3333 0.6667 0.5166 In
0.6667 0.3333 0.4828 In
0.0000 0.0000 0.1497 In
0.0000 0.0000 0.6497 In
0.6667 0.3333 0.8376 Na
0.0000 0.0000 0.9962 Na
0.6667 0.3333 0.3331 Na